# 1
LiCu3C3O9: relaxed, PBE.

Values from the calculation:
Energy relative to the lowest polymorph listed for this composition, eV/atom: 0.027
Total energy after the MP2020 corrections, Ha/atom: -0.251
ΔH_f (0 K), eV per atom: -1.44
V, Å³ per cell: 350

Lattice parameters (Å, degrees): 6.1766 8.0591 8.0728 60.67 90.00 90.00
Atoms (fractional coordinates):
Li 0.0000 0.9688 0.6514
Li 0.5000 0.6553 0.3822
Cu 0.7447 0.2963 0.6867
Cu 0.2553 0.2963 0.6867
Cu 0.2485 0.6600 0.0234
Cu 0.7515 0.6600 0.0234
Cu 0.7493 0.0414 0.2828
Cu 0.2507 0.0414 0.2828
C 0.7505 0.6710 0.6632
C 0.2495 0.6710 0.6632
C 0.0000 0.0097 0.9932
C 0.5000 0.9912 0.0021
C 0.0000 0.3320 0.3331
C 0.5000 0.3298 0.3460
O 0.0000 0.8934 0.9242
O 0.5000 0.8731 0.9372
O 0.2462 0.5690 0.8444
O 0.7538 0.5690 0.8444
O 0.7647 0.8552 0.5801
O 0.2353 0.8552 0.5801
O 0.0000 0.1938 0.8788
O 0.5000 0.1735 0.8928
O 0.7327 0.5862 0.5622
O 0.2673 0.5862 0.5622
O 0.0000 0.9420 0.1762
O 0.5000 0.9261 0.1888
O 0.0000 0.2613 0.5167
O 0.5000 0.2584 0.5293
O 0.0000 0.5134 0.2185
O 0.5000 0.5141 0.2375
O 0.0000 0.2152 0.2646
O 0.5000 0.2198 0.2711


# 2
YGeAu: relaxed, PBE.

Values from the calculation:
ΔH_f (0 K), eV per atom: -0.84
V, Å³ per cell: 128

Lattice parameters (Å, degrees): 4.4821 4.4821 7.3696 90.00 90.00 120.00
Atoms (fractional coordinates):
Y 0.0000 0.0000 0.4658
Y 0.0000 0.0000 0.9658
Ge 0.6667 0.3333 0.6726
Ge 0.3333 0.6667 0.1726
Au 0.3333 0.6667 0.7525
Au 0.6667 0.3333 0.2525


# 3
BaMg6Zr: relaxed, PBE.

Values from the calculation:
Energy relative to the lowest polymorph listed for this composition, eV/atom: 0.009
ΔH_f (0 K), eV per atom: 0.11
V, Å³ per cell: 216

Lattice parameters (Å, degrees): 6.7658 6.7658 4.7230 90.00 90.00 90.00
Atoms (fractional coordinates):
Ba 0.0000 0.0000 0.5000
Mg 0.5000 0.0000 0.5000
Mg 0.0000 0.5000 0.5000
Mg 0.2784 0.7216 0.0000
Mg 0.7216 0.2784 0.0000
Mg 0.2784 0.2784 0.0000
Mg 0.7216 0.7216 0.0000
Zr 0.5000 0.5000 0.5000


# 4
KAl11O17: relaxed, PBE.

Values from the calculation:
Energy relative to the lowest polymorph listed for this composition, eV/atom: 0.007
Total energy after the MP2020 corrections, Ha/atom: -0.284
ΔH_f (0 K), eV per atom: -3.37
V, Å³ per cell: 317

Lattice parameters (Å, degrees): 11.9222 11.9222 11.9222 27.42 27.42 27.42
Atoms (fractional coordinates):
K 0.1706 0.1706 0.1706
Al 0.9025 0.4081 0.9025
Al 0.0002 0.0002 0.0002
Al 0.9025 0.9025 0.4081
Al 0.4081 0.9025 0.9025
Al 0.5497 0.5497 0.5497
Al 0.6501 0.6501 0.6501
Al 0.4500 0.4500 0.4500
Al 0.3502 0.3502 0.3502
Al 0.5951 0.0964 0.0964
Al 0.0964 0.0964 0.5951
Al 0.0964 0.5951 0.0964
O 0.7033 0.7033 0.7033
O 0.9057 0.9057 0.9057
O 0.7198 0.1897 0.1897
O 0.8099 0.2806 0.8099
O 0.9083 0.4008 0.4008
O 0.5980 0.0933 0.5980
O 0.4008 0.4008 0.9083
O 0.8099 0.8099 0.2806
O 0.1897 0.1897 0.7198
O 0.5001 0.5001 0.5001
O 0.5980 0.5980 0.0933
O 0.0933 0.5980 0.5980
O 0.4008 0.9083 0.4008
O 0.1897 0.7198 0.1897
O 0.2806 0.8099 0.8099
O 0.2966 0.2966 0.2966
O 0.0942 0.0942 0.0942


# 5
NbOF3: relaxed, PBE.

Values from the calculation:
Total energy after the MP2020 corrections, Ha/atom: -0.266
ΔH_f (0 K), eV per atom: -3.09
V, Å³ per cell: 130

Lattice parameters (Å, degrees): 5.2951 5.2951 5.2951 71.54 71.54 71.54
Atoms (fractional coordinates):
Nb 0.5659 0.5659 0.5659
Nb 0.0659 0.0659 0.0659
O 0.2126 0.2126 0.2126
O 0.7126 0.7126 0.7126
F 0.7110 0.2460 0.2875
F 0.2460 0.2875 0.7110
F 0.2875 0.7110 0.2460
F 0.7875 0.7460 0.2110
F 0.7460 0.2110 0.7875
F 0.2110 0.7875 0.7460


# 6
Lu2Pt: relaxed, PBE.

Values from the calculation:
ΔH_f (0 K), eV per atom: -1.02
V, Å³ per cell: 284

Lattice parameters (Å, degrees): 4.6889 7.0159 8.6339 90.00 90.00 90.00
Atoms (fractional coordinates):
Lu 0.2500 0.8550 0.9207
Lu 0.2500 0.3550 0.5793
Lu 0.7500 0.1450 0.0793
Lu 0.7500 0.6450 0.4207
Lu 0.2500 0.9885 0.3316
Lu 0.2500 0.4885 0.1684
Lu 0.7500 0.0115 0.6684
Lu 0.7500 0.5115 0.8316
Pt 0.2500 0.2580 0.9055
Pt 0.2500 0.7580 0.5945
Pt 0.7500 0.7420 0.0945
Pt 0.7500 0.2420 0.4055


# 7
Mg15Cu: relaxed, PBE.

Values from the calculation:
ΔH_f (0 K), eV per atom: 0.02
V, Å³ per cell: 350

Lattice parameters (Å, degrees): 6.3059 6.3059 10.1571 90.00 90.00 120.00
Atoms (fractional coordinates):
Mg 0.3333 0.6667 0.5000
Mg 0.8318 0.6636 0.0000
Mg 0.8342 0.6684 0.5000
Mg 0.8318 0.1682 0.0000
Mg 0.8342 0.1658 0.5000
Mg 0.3364 0.1682 0.0000
Mg 0.3316 0.1658 0.5000
Mg 0.6603 0.8301 0.2431
Mg 0.6603 0.8301 0.7569
Mg 0.1699 0.8301 0.2431
Mg 0.1699 0.8301 0.7569
Mg 0.1699 0.3397 0.2431
Mg 0.1699 0.3397 0.7569
Mg 0.6667 0.3333 0.2521
Mg 0.6667 0.3333 0.7479
Cu 0.3333 0.6667 0.0000


# 8
BaCe2O4: relaxed, PBE.

Values from the calculation:
Total energy after the MP2020 corrections, Ha/atom: -0.305
ΔH_f (0 K), eV per atom: -3.50
V, Å³ per cell: 487

Lattice parameters (Å, degrees): 3.6403 10.6359 12.5789 90.00 90.00 90.00
Atoms (fractional coordinates):
Ba 0.2500 0.2501 0.3532
Ba 0.2500 0.7501 0.1468
Ba 0.7500 0.7499 0.6468
Ba 0.7500 0.2499 0.8532
Ce 0.2500 0.0761 0.6119
Ce 0.2500 0.5761 0.8881
Ce 0.7500 0.9239 0.3881
Ce 0.7500 0.4239 0.1119
Ce 0.2500 0.5817 0.3892
Ce 0.2500 0.0817 0.1108
Ce 0.7500 0.4183 0.6108
Ce 0.7500 0.9183 0.8892
O 0.2500 0.2850 0.6741
O 0.2500 0.7850 0.8259
O 0.7500 0.7150 0.3259
O 0.7500 0.2150 0.1741
O 0.2500 0.3779 0.9851
O 0.2500 0.8779 0.5149
O 0.7500 0.6221 0.0149
O 0.7500 0.1221 0.4851
O 0.2500 0.4876 0.2163
O 0.2500 0.9876 0.2837
O 0.7500 0.5124 0.7837
O 0.7500 0.0124 0.7163
O 0.2500 0.0666 0.9237
O 0.2500 0.5666 0.5763
O 0.7500 0.9334 0.0763
O 0.7500 0.4334 0.4237